# LiDyO2, optimized geometry, DFT r²SCAN
# Mass density: 6.8 g/cm³
# E_form: -3.2296 eV per atom
data_LiDyO2
_chemical_formula_sum 'Li4 Dy4 O8'
_space_group_name_H-M_alt 'P 1'
_space_group_IT_number 1
_space_group_name_Hall 'P 1'
_cell_length_a 11.136
_cell_length_b 3.362
_cell_length_c 5.257
_cell_angle_alpha 90.00
_cell_angle_beta 90.00
_cell_angle_gamma 90.00
loop_
_atom_site_label
_atom_site_type_symbol
_atom_site_fract_x
_atom_site_fract_y
_atom_site_fract_z
Li1 Li 0.066 0.250 0.099
Li2 Li 0.434 0.750 0.599
Li3 Li 0.566 0.250 0.401
Li4 Li 0.934 0.750 0.901
Dy1 Dy 0.141 0.750 0.547
Dy2 Dy 0.359 0.250 0.047
Dy3 Dy 0.641 0.750 0.953
Dy4 Dy 0.859 0.250 0.453
O1 O 0.026 0.250 0.744
O2 O 0.205 0.250 0.307
O3 O 0.295 0.750 0.807
O4 O 0.474 0.750 0.244
O5 O 0.526 0.250 0.756
O6 O 0.705 0.250 0.193
O7 O 0.795 0.750 0.693
O8 O 0.974 0.750 0.256